<i>
First-principles (PBE-GGA) data for a relaxed structure of BaNaMg6, as listed in the Materials Project database. Values from VASP.

Quantum ESPRESSO input file:
```
&SYSTEM
  ibrav = 0, nat = 16, ntyp = 3
/
ATOMIC_SPECIES
Ba 137.33 Ba.upf
Na 22.99 Na.upf
Mg 24.30 Mg.upf
CELL_PARAMETERS angstrom
-0.3579 5.3612 0.3741
-6.0360 -0.2035 -2.8571
-5.4510 -1.1733 11.5994
ATOMIC_POSITIONS angstrom
Ba -4.1656 2.3703 0.8197
Ba -3.8731 1.8854 8.0480
Na -1.0986 2.4826 2.1441
Na -6.8421 1.7942 6.5152
Mg -4.0220 2.1310 4.3864
Mg -6.9991 2.0306 2.9772
Mg -4.9119 -0.2265 -1.4526
Mg -1.7948 -0.1214 0.0229
Mg -1.8122 -0.3901 3.8562
Mg -4.9213 -0.5115 2.6217
Mg -9.7655 1.4426 8.7576
Mg -6.7066 1.5457 10.2054
Mg -4.6195 -0.7114 5.7756
Mg -7.5383 -0.8098 4.3940
Mg -7.5556 -1.0785 8.2273
Mg -4.6289 -0.9964 9.8499
```

The calculated volume comes out at 463.1 Å³ per cell. The value obtained for the total moment is 0.00 μB/f.u.


<ii>
First-principles (PBE-GGA) data for a relaxed structure of BaNaMg6, as listed in the Materials Project database. Values from VASP.

Quantum ESPRESSO input file:
```
&SYSTEM
  ibrav = 0, nat = 16, ntyp = 3
/
ATOMIC_SPECIES
Ba 137.33 Ba.upf
Na 22.99 Na.upf
Mg 24.30 Mg.upf
CELL_PARAMETERS angstrom
-0.1901 -1.7694 -5.0986
6.7404 1.6902 -0.8379
3.2870 -11.2363 3.7768
ATOMIC_POSITIONS angstrom
Ba 3.8305 -1.9380 -2.3301
Ba 2.1038 -8.4013 -0.0228
Na 4.5007 -3.0192 0.8800
Na 2.7740 -9.4825 3.1873
Mg 5.4444 0.4554 -0.3610
Mg 1.7919 -0.4605 0.0930
Mg 1.0910 -3.7293 1.2535
Mg 2.9728 -5.2063 -1.1639
Mg 6.3526 -4.3588 -1.5841
Mg 0.4313 -2.6840 -1.9445
Mg 3.7177 -6.0078 1.9463
Mg 6.8057 -5.2335 1.5625
Mg 6.1047 -8.5023 2.7230
Mg 7.9865 -9.9794 0.3055
Mg 4.6259 -10.8221 0.7233
Mg 5.4450 -7.4570 -0.4751
```

The calculated volume comes out at 465.0 Å³ per cell. The value obtained for the total moment is 0.00 μB/f.u.


Energy above the most stable structure, in meV/atom: <i> 0; <ii> 6


<i>
First-principles (PBE-GGA) data for a relaxed structure of BaMg6Nb, as listed in the Materials Project database. Values from VASP.

Quantum ESPRESSO input file:
```
&SYSTEM
  ibrav = 0, nat = 16, ntyp = 3
/
ATOMIC_SPECIES
Ba 137.33 Ba.upf
Mg 24.30 Mg.upf
Nb 92.91 Nb.upf
CELL_PARAMETERS angstrom
-5.0038 1.4924 -0.7659
-2.1349 -5.7571 2.7300
-0.1089 4.9680 10.3917
ATOMIC_POSITIONS angstrom
Ba -1.1045 -1.1874 4.9025
Ba -0.0915 4.1752 8.7333
Mg -0.5982 -1.1479 1.6713
Mg -1.5560 -3.7308 2.8960
Mg -1.1579 1.2449 9.9902
Mg -3.1844 3.7575 9.9433
Mg -4.1552 1.1395 11.1847
Mg -3.6413 1.1515 7.8509
Mg -1.7201 -1.5425 8.2321
Mg -0.5430 1.6318 6.7269
Mg -0.0359 1.6395 3.4293
Mg -4.1974 -1.6051 6.1124
Mg -3.0333 1.5341 4.6239
Mg -2.5194 1.5460 1.2901
Nb -3.5854 -1.3990 2.5161
Nb -2.5724 3.9636 6.3470
```

The calculated volume comes out at 408.5 Å³ per cell. The value obtained for the total moment is 1.04 μB/f.u.


<ii>
First-principles (PBE-GGA) data for a relaxed structure of BaMg6Nb, as listed in the Materials Project database. Values from VASP.

Quantum ESPRESSO input file:
```
&SYSTEM
  ibrav = 0, nat = 8, ntyp = 3
/
ATOMIC_SPECIES
Ba 137.33 Ba.upf
Mg 24.30 Mg.upf
Nb 92.91 Nb.upf
CELL_PARAMETERS angstrom
-3.5140 -3.7621 4.3812
5.2938 -4.1478 0.6843
1.5375 2.5231 3.3998
ATOMIC_POSITIONS angstrom
Ba 1.6586 -2.6934 4.2326
Mg -0.9883 -0.6195 3.8905
Mg 3.4156 -0.8123 2.0420
Mg 3.3961 -4.0647 1.4808
Mg -1.6163 -3.8452 3.5847
Mg 0.3835 -1.7042 1.0914
Mg 1.3963 -6.2057 3.9741
Nb 0.7687 1.2616 1.6999
```

The calculated volume comes out at 205.8 Å³ per cell. The value obtained for the total moment is 1.40 μB/f.u.


Energy above the most stable structure, in meV/atom: <i> 113; <ii> 0


<i>
First-principles (PBE-GGA) data for a relaxed structure of BaMg14NbO16, as listed in the Materials Project database. Values from VASP.

Quantum ESPRESSO input file:
```
&SYSTEM
  ibrav = 0, nat = 32, ntyp = 4
/
ATOMIC_SPECIES
Ba 137.33 Ba.upf
Mg 24.30 Mg.upf
Nb 92.91 Nb.upf
O 16.00 O.upf
CELL_PARAMETERS angstrom
8.7699 0.0000 0.0000
0.0000 8.9506 0.0000
0.0000 0.0000 4.5147
ATOMIC_POSITIONS angstrom
Ba 0.0000 0.0000 0.0000
Mg 4.3849 0.0000 0.0000
Mg 4.3849 4.4753 0.0000
Mg 0.0000 2.3017 2.2573
Mg 0.0000 6.6489 2.2573
Mg 4.3849 2.2526 2.2573
Mg 4.3849 6.6980 2.2573
Mg 2.3255 0.0000 2.2573
Mg 2.2564 4.4753 2.2573
Mg 6.4443 0.0000 2.2573
Mg 6.5135 4.4753 2.2573
Mg 2.2948 2.2859 0.0000
Mg 2.2948 6.6647 0.0000
Mg 6.4751 2.2859 0.0000
Mg 6.4751 6.6647 0.0000
Nb 0.0000 4.4753 0.0000
O 2.4716 0.0000 0.0000
O 2.3064 4.4753 0.0000
O 6.2983 0.0000 0.0000
O 6.4635 4.4753 0.0000
O 2.1947 2.2442 2.2573
O 2.1947 6.7064 2.2573
O 6.5752 2.2442 2.2573
O 6.5752 6.7064 2.2573
O 0.0000 0.0000 2.2573
O 0.0000 4.4753 2.2573
O 4.3849 0.0000 2.2573
O 4.3849 4.4753 2.2573
O 0.0000 2.4006 0.0000
O 0.0000 6.5500 0.0000
O 4.3849 2.3041 0.0000
O 4.3849 6.6465 0.0000
```

The calculated volume comes out at 354.4 Å³ per cell. The value obtained for the total moment is 2.80 μB/f.u.


<ii>
First-principles (PBE-GGA) data for a relaxed structure of BaMg14NbO16, as listed in the Materials Project database. Values from VASP.

Quantum ESPRESSO input file:
```
&SYSTEM
  ibrav = 0, nat = 32, ntyp = 4
/
ATOMIC_SPECIES
Ba 137.33 Ba.upf
Mg 24.30 Mg.upf
Nb 92.91 Nb.upf
O 16.00 O.upf
CELL_PARAMETERS angstrom
8.7904 0.0000 0.0000
0.0000 8.7904 0.0000
0.0000 0.0000 4.5313
ATOMIC_POSITIONS angstrom
Ba 0.0000 0.0000 0.0000
Mg 0.0000 4.3952 0.0000
Mg 4.3952 0.0000 0.0000
Mg 0.0000 2.3188 2.2656
Mg 0.0000 6.4715 2.2656
Mg 4.3952 2.1683 2.2656
Mg 4.3952 6.6221 2.2656
Mg 2.3188 0.0000 2.2656
Mg 2.1683 4.3952 2.2656
Mg 6.4715 0.0000 2.2656
Mg 6.6221 4.3952 2.2656
Mg 2.2519 2.2519 0.0000
Mg 2.2519 6.5385 0.0000
Mg 6.5385 2.2519 0.0000
Mg 6.5385 6.5385 0.0000
Nb 4.3952 4.3952 0.0000
O 2.4619 0.0000 0.0000
O 2.1478 4.3952 0.0000
O 6.3285 0.0000 0.0000
O 6.6425 4.3952 0.0000
O 2.2066 2.2066 2.2656
O 2.2066 6.5838 2.2656
O 6.5838 2.2066 2.2656
O 6.5838 6.5838 2.2656
O 0.0000 0.0000 2.2656
O 0.0000 4.3952 2.2656
O 4.3952 0.0000 2.2656
O 4.3952 4.3952 2.2656
O 0.0000 2.4619 0.0000
O 0.0000 6.3285 0.0000
O 4.3952 2.1478 0.0000
O 4.3952 6.6425 0.0000
```

The calculated volume comes out at 350.1 Å³ per cell. The value obtained for the total moment is 2.83 μB/f.u.


Energy above the most stable structure, in meV/atom: <i> 15; <ii> 0


<i>
First-principles (PBE-GGA) data for a relaxed structure of Ba2PrMgNbO6, as listed in the Materials Project database. Values from VASP.

Quantum ESPRESSO input file:
```
&SYSTEM
  ibrav = 0, nat = 11, ntyp = 5
/
ATOMIC_SPECIES
Ba 137.33 Ba.upf
Pr 140.91 Pr.upf
Mg 24.30 Mg.upf
Nb 92.91 Nb.upf
O 16.00 O.upf
CELL_PARAMETERS angstrom
5.6811 0.4544 3.9907
2.3101 5.2239 3.9994
0.6309 0.4589 6.9168
ATOMIC_POSITIONS angstrom
Ba 1.9474 1.3896 3.3696
Ba 5.9283 4.2198 10.2513
Pr 0.2027 0.1448 0.3531
Mg 7.3712 5.2614 12.7548
Nb 4.3377 3.0876 7.4999
O 6.2478 4.1477 7.6663
O 3.6624 4.5368 8.9946
O 5.0684 1.9786 9.2387
O 2.3803 2.5772 7.5804
O 4.2245 4.2470 5.8433
O 4.9730 1.3971 6.5729
```

The calculated volume comes out at 179.8 Å³ per cell. The value obtained for the total moment is 0.00 μB/f.u.


<ii>
First-principles (PBE-GGA) data for a relaxed structure of Ba2PrMgNbO6, as listed in the Materials Project database. Values from VASP.

Quantum ESPRESSO input file:
```
&SYSTEM
  ibrav = 0, nat = 11, ntyp = 5
/
ATOMIC_SPECIES
Ba 137.33 Ba.upf
Pr 140.91 Pr.upf
Mg 24.30 Mg.upf
Nb 92.91 Nb.upf
O 16.00 O.upf
CELL_PARAMETERS angstrom
6.1022 -1.1145 4.2529
1.6853 4.6208 2.9751
0.9441 -0.7070 6.6423
ATOMIC_POSITIONS angstrom
Ba 2.3157 0.0788 4.2156
Ba 5.6430 2.2560 10.5122
Pr 7.6564 2.9947 7.9091
Mg 1.9876 1.8904 7.3747
Nb 4.8039 1.1002 7.0466
O 5.9744 2.7344 6.2451
O 3.6544 2.1444 8.5254
O 6.2299 0.9003 8.2924
O 2.9030 0.1087 6.9424
O 2.4874 2.9304 5.6502
O 5.2110 0.5683 5.0603
```

The calculated volume comes out at 185.9 Å³ per cell. The value obtained for the total moment is 0.00 μB/f.u.


Energy above the most stable structure, in meV/atom: <i> 102; <ii> 0